Computed, not measured: a relaxed structure of Ba2Mn5O10 at the PBE with a Hubbard U level of DFT.

abc: 6.769 6.769 9.983
angles: 87.52 87.52 28.05
Atoms (fractional coordinates):
Ba 0.255 0.255 0.187
Ba 0.745 0.745 0.813
Mn 0.849 0.849 0.505
Mn 0.151 0.151 0.495
Mn 0.000 0.000 0.000
Mn 0.505 0.505 0.261
Mn 0.495 0.495 0.739
O 0.927 0.927 0.665
O 0.073 0.073 0.335
O 0.591 0.591 0.088
O 0.409 0.409 0.912
O 0.733 0.733 0.393
O 0.267 0.267 0.607
O 0.594 0.594 0.592
O 0.406 0.406 0.408
O 0.922 0.922 0.166
O 0.078 0.078 0.834

Values from the calculation:
Space-group type: C2/m
Electronic total energy in eV per atom: -7.109
ΔH_f (0 K) in eV per atom: -2.173
Magnetic moment in μB per formula unit: 19.0